## PC18F17 (GGA-PBE)

Data for crystalline PC18F17 at its relaxed geometry.

Cell and atoms, written as POSCAR:
```
PC18F17
1.0
9.033 0.000 0.000
0.000 11.261 0.000
0.000 0.000 18.493
P C F
4 72 68
direct
0.000 0.132 0.250
0.000 0.868 0.750
0.500 0.368 0.750
0.500 0.632 0.250
0.000 0.295 0.250
0.000 0.454 0.750
0.000 0.546 0.250
0.000 0.705 0.750
0.015 0.055 0.649
0.015 0.945 0.149
0.026 0.118 0.913
0.026 0.882 0.413
0.034 0.483 0.187
0.034 0.517 0.687
0.035 0.359 0.188
0.035 0.641 0.688
0.056 0.050 0.331
0.056 0.950 0.831
0.139 0.074 0.957
0.139 0.926 0.457
0.170 0.091 0.376
0.170 0.909 0.876
0.211 0.032 0.439
0.211 0.968 0.939
0.289 0.468 0.939
0.289 0.532 0.439
0.330 0.409 0.876
0.330 0.591 0.376
0.361 0.426 0.457
0.361 0.574 0.957
0.444 0.450 0.831
0.444 0.550 0.331
0.465 0.141 0.688
0.465 0.859 0.188
0.466 0.017 0.687
0.466 0.983 0.187
0.474 0.382 0.413
0.474 0.618 0.913
0.485 0.445 0.149
0.485 0.555 0.649
0.500 0.046 0.250
0.500 0.205 0.750
0.500 0.795 0.250
0.500 0.954 0.750
0.515 0.445 0.351
0.515 0.555 0.851
0.526 0.382 0.087
0.526 0.618 0.587
0.534 0.017 0.813
0.534 0.983 0.313
0.535 0.141 0.812
0.535 0.859 0.312
0.556 0.450 0.669
0.556 0.550 0.169
0.639 0.426 0.043
0.639 0.574 0.543
0.670 0.409 0.624
0.670 0.591 0.124
0.711 0.468 0.561
0.711 0.532 0.061
0.789 0.032 0.061
0.789 0.968 0.561
0.830 0.091 0.124
0.830 0.909 0.624
0.861 0.074 0.543
0.861 0.926 0.043
0.944 0.050 0.169
0.944 0.950 0.669
0.965 0.359 0.312
0.965 0.641 0.812
0.966 0.483 0.313
0.966 0.517 0.813
0.974 0.118 0.587
0.974 0.882 0.087
0.985 0.055 0.851
0.985 0.945 0.351
0.000 0.336 0.750
0.000 0.664 0.250
0.044 0.219 0.568
0.044 0.781 0.068
0.067 0.457 0.626
0.067 0.543 0.126
0.068 0.303 0.125
0.068 0.697 0.625
0.123 0.103 0.690
0.123 0.897 0.190
0.175 0.133 0.221
0.175 0.867 0.721
0.178 0.132 0.018
0.178 0.868 0.518
0.185 0.423 0.983
0.185 0.577 0.483
0.238 0.195 0.361
0.238 0.805 0.861
0.262 0.305 0.861
0.262 0.695 0.361
0.315 0.077 0.483
0.315 0.923 0.983
0.322 0.368 0.518
0.322 0.632 0.018
0.325 0.367 0.721
0.325 0.633 0.221
0.377 0.397 0.190
0.377 0.603 0.690
0.432 0.197 0.625
0.432 0.803 0.125
0.433 0.043 0.126
0.433 0.957 0.626
0.456 0.281 0.068
0.456 0.719 0.568
0.500 0.164 0.250
0.500 0.836 0.750
0.544 0.281 0.432
0.544 0.719 0.932
0.567 0.043 0.374
0.567 0.957 0.874
0.568 0.197 0.875
0.568 0.803 0.375
0.623 0.397 0.310
0.623 0.603 0.810
0.675 0.367 0.779
0.675 0.633 0.279
0.678 0.368 0.982
0.678 0.632 0.482
0.685 0.077 0.017
0.685 0.923 0.517
0.738 0.305 0.639
0.738 0.695 0.139
0.762 0.195 0.139
0.762 0.805 0.639
0.815 0.423 0.517
0.815 0.577 0.017
0.822 0.132 0.482
0.822 0.868 0.982
0.825 0.133 0.279
0.825 0.867 0.779
0.877 0.103 0.810
0.877 0.897 0.310
0.932 0.303 0.375
0.932 0.697 0.875
0.933 0.457 0.874
0.933 0.543 0.374
0.956 0.219 0.932
0.956 0.781 0.432
```

Values from the calculation:
Formation energy from the elements (meV per atom): -1040
Energy (hartree per atom): -0.239
Space-group type: Pbcn (60)
Calculated volume (Å³/atom): 13.063